# CaMg14Mo (PBE, optimized geometry)
data_CaMg14Mo
_cell_length_a 6.4469
_cell_length_b 6.4469
_cell_length_c 10.1390
_cell_angle_alpha 90.00
_cell_angle_beta 90.00
_cell_angle_gamma 120.00
_symmetry_space_group_name_H-M 'P -6 m 2'
_symmetry_Int_Tables_number 187
_symmetry_space_group_name_Hall 'P -6 2'
loop_
_atom_site_label
_atom_site_type_symbol
_atom_site_fract_x
_atom_site_fract_y
_atom_site_fract_z
Ca1 Ca 0.0000 0.0000 0.0000
Mg1 Mg 0.0097 0.5049 0.0000
Mg2 Mg 0.1631 0.3262 0.2677
Mg3 Mg 0.5022 0.0044 0.5000
Mg4 Mg 0.6667 0.3333 0.2430
Mo1 Mo 0.0000 0.0000 0.5000
# Offset from the most stable computed form in meV/atom: 4
# E in eV per atom: -2.073
# Energy of formation in kJ per mole of atoms: 12.6
# Crystal system: hexagonal

# Na3Ce (PBE, optimized geometry)
data_Na3Ce
_cell_length_a 8.507
_cell_length_b 8.507
_cell_length_c 8.507
_cell_angle_alpha 90.00
_cell_angle_beta 90.00
_cell_angle_gamma 90.00
_symmetry_space_group_name_H-M 'F m -3 m'
_symmetry_Int_Tables_number 225
_symmetry_space_group_name_Hall '-F 4 2 3'
loop_
_atom_site_label
_atom_site_type_symbol
_atom_site_fract_x
_atom_site_fract_y
_atom_site_fract_z
Na1 Na 0.000 0.000 0.000
Na2 Na 0.250 0.250 0.250
Ce1 Ce 0.000 0.000 0.500
# Offset from the most stable computed form in meV/atom: 24
# E in eV per atom: -2.011
# Energy of formation in kJ per mole of atoms: 44.8
# Crystal system: cubic

Number 1: mass density 2.167 g/cm³, volume 364.9 Å³/cell. Number 2: mass density 2.256 g/cm³, volume 615.7 Å³/cell.